Compound: BaBrCl
Source: the Materials Project database
Functional: PBE
Structure: relaxed

Energy in eV for the cell shown: -49.92
Distance to the lowest polymorph of the same formula in meV per atom: 48
ΔH_f (0 K) in meV/atom: -2563

a = 5.0624 Å, b = 8.1481 Å, c = 10.2863 Å
α = 90.00°, β = 90.00°, γ = 90.00°
Fractional positions:
Ba 0.2500 0.7283 0.5933
Ba 0.7500 0.7717 0.0933
Cl 0.2500 0.4969 0.3525
Ba 0.2500 0.2283 0.9067
Ba 0.7500 0.2717 0.4067
Br 0.7500 0.3615 0.0920
Br 0.7500 0.8615 0.4080
Br 0.2500 0.6385 0.9080
Cl 0.2500 0.9969 0.1475
Cl 0.7500 0.0031 0.8525
Cl 0.7500 0.5031 0.6475
Br 0.2500 0.1385 0.5920